# 1
Material: YCd3
Method: DFT, r2SCAN
State: relaxed

Properties
Energy relative to the elements ... -7.45 kcal/mol of atoms
Total magnetic moment ... 0.000 μB/f.u.
DFT total energy ... -163.842 eV for the cell shown
SG ... Cmcm (63)

Lattice parameters (Å, degrees): 6.5727 6.5727 4.9141 90.00 90.00 118.69
With the nearest neighbours (Å) after each atom.
Fractional coordinates of all 8 atoms:
1 Y 0.1580 0.8420 0.7500  12 Cd 3.16-3.35
2 Y 0.8420 0.1580 0.2500  12 Cd 3.16-3.35
3 Cd 0.1843 0.3515 0.7500  7 Cd 3.05-3.35, 4 Y 3.16-3.31
4 Cd 0.3337 0.6663 0.2500  8 Cd 3.05-3.35, 4 Y 3.16-3.35
5 Cd 0.3515 0.1843 0.2500  7 Cd 3.05-3.35, 4 Y 3.16-3.31
6 Cd 0.6485 0.8157 0.7500  7 Cd 3.05-3.35, 4 Y 3.16-3.31
7 Cd 0.6663 0.3337 0.7500  8 Cd 3.05-3.35, 4 Y 3.16-3.35
8 Cd 0.8157 0.6485 0.2500  7 Cd 3.05-3.35, 4 Y 3.16-3.31



# 2
Material: YbYCd2
Method: DFT, r2SCAN
State: relaxed

Properties
Energy relative to the elements ... -8.93 kcal/mol of atoms
Total magnetic moment ... 0.000 μB/f.u.
DFT total energy ... -98.601 eV for the cell shown
SG ... Fm-3m (225)

Lattice parameters (Å, degrees): 5.2240 5.2240 5.2240 60.00 60.00 60.00
With the nearest neighbours (Å) after each atom.
Fractional coordinates of all 4 atoms:
1 Yb 0.0000 0.0000 0.0000  8 Cd 3.20
2 Y 0.5000 0.5000 0.5000  8 Cd 3.20
3 Cd 0.2500 0.2500 0.2500  4 Y 3.20, 4 Yb 3.20
4 Cd 0.7500 0.7500 0.7500  4 Yb 3.20, 4 Y 3.20



# 3
Material: YbCd3
Method: DFT, r2SCAN
State: relaxed

Properties
Energy relative to the elements ... -5.87 kcal/mol of atoms
Total magnetic moment ... 0.000 μB/f.u.
DFT total energy ... -97.862 eV for the cell shown
SG ... Fm-3m (225)

Lattice parameters (Å, degrees): 4.9883 4.9883 4.9883 60.00 60.00 60.00
With the nearest neighbours (Å) after each atom.
Fractional coordinates of all 4 atoms:
1 Yb 0.0000 0.0000 0.0000  8 Cd 3.05
2 Cd 0.2500 0.2500 0.2500  4 Cd 3.05, 4 Yb 3.05
3 Cd 0.5000 0.5000 0.5000  8 Cd 3.05
4 Cd 0.7500 0.7500 0.7500  4 Cd 3.05, 4 Yb 3.05



# 4
Material: YbCd3
Method: DFT, r2SCAN
State: relaxed

Properties
Energy relative to the elements ... -6.39 kcal/mol of atoms
Total magnetic moment ... 0.000 μB/f.u.
DFT total energy ... -195.906 eV for the cell shown
SG ... P6_3/mmc (194)

Lattice parameters (Å, degrees): 6.4996 6.4996 4.9022 90.00 90.00 120.00
With the nearest neighbours (Å) after each atom.
Fractional coordinates of all 8 atoms:
1 Yb 0.3333 0.6667 0.2500  12 Cd 3.11-3.25
2 Yb 0.6667 0.3333 0.7500  12 Cd 3.11-3.25
3 Cd 0.1634 0.3268 0.7500  8 Cd 3.06-3.31, 4 Yb 3.11-3.25
4 Cd 0.1634 0.8366 0.7500  8 Cd 3.06-3.31, 4 Yb 3.11-3.25
5 Cd 0.3268 0.1634 0.2500  8 Cd 3.06-3.31, 4 Yb 3.11-3.25
6 Cd 0.6732 0.8366 0.7500  8 Cd 3.06-3.31, 4 Yb 3.11-3.25
7 Cd 0.8366 0.1634 0.2500  8 Cd 3.06-3.31, 4 Yb 3.11-3.25
8 Cd 0.8366 0.6732 0.2500  8 Cd 3.06-3.31, 4 Yb 3.11-3.25



# 5
Material: Yb3Cd
Method: DFT, r2SCAN
State: relaxed

Properties
Energy relative to the elements ... -0.69 kcal/mol of atoms
Total magnetic moment ... 0.023 μB/f.u.
DFT total energy ... -129.812 eV for the cell shown
SG ... Fm-3m (225)

Lattice parameters (Å, degrees): 5.3356 5.3356 5.3356 60.00 60.00 60.00
With the nearest neighbours (Å) after each atom.
Fractional coordinates of all 4 atoms:
1 Yb 0.0000 0.0000 0.0000  8 Yb 3.27
2 Yb 0.2500 0.2500 0.2500  4 Cd 3.27, 4 Yb 3.27
3 Yb 0.7500 0.7500 0.7500  4 Cd 3.27, 4 Yb 3.27
4 Cd 0.5000 0.5000 0.5000  8 Yb 3.27



# 6
Material: Yb3Cd
Method: DFT, r2SCAN
State: relaxed

Properties
Energy relative to the elements ... -2.76 kcal/mol of atoms
Total magnetic moment ... 0.001 μB/f.u.
DFT total energy ... -130.172 eV for the cell shown
SG ... Pm-3m (221)

Lattice parameters (Å, degrees): 4.7428 4.7428 4.7428 90.00 90.00 90.00
With the nearest neighbours (Å) after each atom.
Fractional coordinates of all 4 atoms:
1 Yb 0.0000 0.0000 0.5000  4 Cd 3.35, 8 Yb 3.35
2 Yb 0.0000 0.5000 0.0000  4 Cd 3.35, 8 Yb 3.35
3 Yb 0.5000 0.0000 0.0000  4 Cd 3.35, 8 Yb 3.35
4 Cd 0.5000 0.5000 0.5000  12 Yb 3.35



# 7
Material: ZrCd
Method: DFT, r2SCAN
State: relaxed

Properties
Energy relative to the elements ... -3.24 kcal/mol of atoms
Total magnetic moment ... 0.000 μB/f.u.
DFT total energy ... -86.272 eV for the cell shown
SG ... P4/nmm (129)

Lattice parameters (Å, degrees): 3.1028 3.1028 9.0733 90.00 90.00 90.00
With the nearest neighbours (Å) after each atom.
Fractional coordinates of all 4 atoms:
1 Zr 0.2500 0.2500 0.1265  8 Zr 3.10-3.17, 4 Cd 3.19
2 Zr 0.7500 0.7500 0.8735  8 Zr 3.10-3.17, 4 Cd 3.19
3 Cd 0.2500 0.2500 0.6188  8 Cd 3.08-3.10, 4 Zr 3.19
4 Cd 0.7500 0.7500 0.3812  8 Cd 3.08-3.10, 4 Zr 3.19



# 8
Material: Ce
Method: DFT, r2SCAN
State: relaxed

Properties
Energy relative to the elements ... 0.00 kcal/mol of atoms
Total magnetic moment ... 0.000 μB/f.u.
DFT total energy ... -30.841 eV for the cell shown
SG ... Fm-3m (225)

Lattice parameters (Å, degrees): 3.3039 3.3039 3.3039 60.00 60.00 60.00
With the nearest neighbours (Å) after each atom.
Fractional coordinates of all 1 atoms:
1 Ce 0.0000 0.0000 0.0000  12 Ce 3.30



# 9
Material: Ce
Method: DFT, r2SCAN
State: relaxed

Properties
Energy relative to the elements ... 1.73 kcal/mol of atoms
Total magnetic moment ... 0.001 μB/f.u.
DFT total energy ... -123.063 eV for the cell shown
SG ... P6_3/mmc (194)

Lattice parameters (Å, degrees): 3.3209 3.3209 10.8560 90.00 90.00 120.00
With the nearest neighbours (Å) after each atom.
Fractional coordinates of all 4 atoms:
1 Ce 0.0000 0.0000 0.0000  12 Ce 3.32
2 Ce 0.0000 0.0000 0.5000  12 Ce 3.32
3 Ce 0.3333 0.6667 0.2500  12 Ce 3.32
4 Ce 0.6667 0.3333 0.7500  12 Ce 3.32



# 10
Material: Ce
Method: DFT, r2SCAN
State: relaxed

Properties
Energy relative to the elements ... 0.80 kcal/mol of atoms
Total magnetic moment ... 0.166 μB/f.u.
DFT total energy ... -61.612 eV for the cell shown
SG ... Cmcm (63)

Lattice parameters (Å, degrees): 3.4650 3.4650 5.2210 90.00 90.00 125.92
With the nearest neighbours (Å) after each atom.
Fractional coordinates of all 2 atoms:
1 Ce 0.0969 0.9031 0.7500  4 Ce 2.87-3.15
2 Ce 0.9031 0.0969 0.2500  4 Ce 2.87-3.15